*1*
The following is a PBE+U calculation of crystalline NiH44C12N8Cl2O10 at its relaxed geometry, from Materials Project.

a = 9.2502 Å, b = 8.9838 Å, c = 11.1973 Å
α = 118.35°, β = 103.87°, γ = 99.38°
Fractional positions:
N 0.6694 0.7853 0.2624
N 0.0752 0.0084 0.6829
N 0.9248 0.9916 0.3171
N 0.3306 0.2147 0.7376
N 0.6483 0.8558 0.0759
N 0.6840 0.0839 0.3206
N 0.3160 0.9161 0.6794
N 0.3517 0.1442 0.9241
C 0.1554 0.1617 0.6808
C 0.3992 0.2827 0.8945
C 0.6115 0.0155 0.1636
C 0.0759 0.0482 0.0305
C 0.8599 0.1374 0.3765
C 0.3776 0.0577 0.6549
C 0.6224 0.9423 0.3451
C 0.6008 0.7173 0.1055
C 0.8446 0.8383 0.3192
C 0.3885 0.9845 0.8364
C 0.1401 0.8626 0.6235
C 0.9241 0.9518 0.9695
Ni 0.5000 0.5000 0.5000
H 0.1036 0.7992 0.5046
H 0.3417 0.8808 0.8561
H 0.3460 0.7297 0.6103
H 0.4935 0.9039 0.3081
H 0.9055 0.2376 0.3534
H 0.6332 0.4132 0.3363
H 0.8964 0.2008 0.4954
H 0.5165 0.0089 0.8598
H 0.0945 0.7624 0.6466
H 0.4717 0.6666 0.0729
H 0.5283 0.3334 0.9271
H 0.1220 0.2777 0.7464
H 0.4835 0.9911 0.1402
H 0.8298 0.9660 0.6832
H 0.8780 0.7223 0.2536
H 0.3668 0.5868 0.6637
H 0.6434 0.6074 0.0461
H 0.4019 0.1959 0.0331
H 0.3566 0.3926 0.9539
H 0.0762 0.4745 0.1555
H 0.1200 0.1284 0.5676
H 0.3297 0.0085 0.5382
H 0.8849 0.8060 0.9079
H 0.8340 0.0166 0.9796
H 0.1925 0.5916 0.1269
H 0.3279 0.5446 0.2788
H 0.1660 0.9834 0.0204
H 0.5981 0.8041 0.9669
H 0.7577 0.0663 0.7958
H 0.9034 0.9506 0.2102
H 0.9238 0.5255 0.8445
H 0.8800 0.8716 0.4324
H 0.5890 0.6178 0.2607
H 0.8075 0.4084 0.8731
H 0.4110 0.3822 0.7393
H 0.0966 0.0494 0.7898
H 0.1702 0.0340 0.3168
H 0.5065 0.0961 0.6919
H 0.6703 0.9915 0.4618
H 0.2423 0.9337 0.2042
H 0.1151 0.1940 0.0921
H 0.6540 0.2703 0.3897
H 0.6583 0.1192 0.1439
H 0.6721 0.4554 0.7212
O 0.4402 0.5585 0.3448
O 0.4766 0.5051 0.7565
O 0.2720 0.0353 0.3048
O 0.7280 0.9647 0.6952
O 0.8139 0.4443 0.8019
O 0.1861 0.5557 0.1981
O 0.5598 0.4415 0.6552
O 0.5234 0.4949 0.2435
O 0.3476 0.5992 0.5780
O 0.6524 0.4008 0.4220
Cl 0.8199 0.3435 0.0318
Cl 0.1801 0.6565 0.9682

* mass density: 1303 kg/m³
* crystal system: triclinic

*2*
The following is a PBE+U calculation of crystalline NiH44C12N8Cl2O10 at its relaxed geometry, from Materials Project.

a = 9.7002 Å, b = 10.0210 Å, c = 10.4398 Å
α = 87.09°, β = 101.76°, γ = 118.28°
Fractional positions:
H 0.8301 0.3030 0.9224
H 0.4890 0.3465 0.8353
H 0.5921 0.4186 0.1526
H 0.8497 0.8273 0.5054
H 0.8670 0.4386 0.8333
H 0.7970 0.4915 0.1433
H 0.1503 0.1727 0.4946
H 0.6823 0.6442 0.0311
H 0.0608 0.2691 0.1855
H 0.3220 0.1634 0.8381
H 0.4079 0.5814 0.8474
H 0.9161 0.1390 0.6043
H 0.9764 0.0730 0.9185
H 0.2949 0.0065 0.3309
H 0.0308 0.1352 0.8802
H 0.3338 0.7199 0.6330
H 0.9986 0.4002 0.6518
H 0.8810 0.9433 0.3688
H 0.5110 0.6535 0.1647
H 0.1699 0.6970 0.0776
H 0.1330 0.5614 0.1667
H 0.3290 0.4325 0.5184
H 0.7107 0.1535 0.3468
H 0.0236 0.9270 0.0815
H 0.6710 0.5675 0.4816
H 0.6271 0.2259 0.7038
H 0.9692 0.8648 0.1198
H 0.9392 0.7309 0.8145
H 0.3729 0.7741 0.2962
H 0.3177 0.3558 0.9689
H 0.1190 0.0567 0.6312
H 0.5397 0.7882 0.3751
H 0.4603 0.2118 0.6249
H 0.6662 0.2801 0.3670
H 0.6780 0.8366 0.1619
H 0.0694 0.3991 0.5071
H 0.5226 0.4894 0.3340
H 0.0839 0.8610 0.3957
H 0.9306 0.6009 0.4929
H 0.4774 0.5106 0.6660
H 0.2893 0.8465 0.6532
H 0.7051 0.9935 0.6691
H 0.0014 0.5998 0.3482
H 0.2030 0.5085 0.8567
C 0.7110 0.8546 0.8247
C 0.9205 0.6277 0.3873
C 0.1490 0.1723 0.6010
C 0.6490 0.5691 0.3742
C 0.2890 0.1454 0.1753
C 0.7140 0.5162 0.1826
C 0.6434 0.7203 0.1928
C 0.3510 0.4309 0.6258
C 0.8510 0.8277 0.3990
C 0.0795 0.3723 0.6127
C 0.2860 0.4838 0.8174
C 0.3566 0.2797 0.8072
N 0.7521 0.5211 0.3261
N 0.6828 0.7231 0.3362
N 0.2752 0.3415 0.8701
N 0.7248 0.6585 0.1299
N 0.3172 0.2769 0.6638
N 0.2479 0.4789 0.6739
N 0.9619 0.7842 0.3648
N 0.0381 0.2158 0.6352
O 0.7091 0.0083 0.5768
O 0.7787 0.3486 0.8589
O 0.6197 0.1698 0.3481
O 0.2213 0.6514 0.1411
O 0.2554 0.2406 0.1783
O 0.4519 0.8123 0.3788
O 0.2909 0.9917 0.4232
O 0.3803 0.8302 0.6519
O 0.7446 0.7594 0.8217
O 0.5481 0.1877 0.6212
Cl 0.9431 0.2960 0.1862
Cl 0.0569 0.7040 0.8138
Ni 0.5000 0.0000 0.5000

* mass density: 1122 kg/m³
* crystal system: triclinic

*3*
The following is a PBE+U calculation of crystalline NiH44C12N8Cl2O10 at its relaxed geometry, from Materials Project.

a = 9.3997 Å, b = 9.4495 Å, c = 9.5048 Å
α = 119.55°, β = 93.95°, γ = 101.20°
Fractional positions:
H 0.5884 0.4999 0.7773
H 0.6311 0.6419 0.0901
H 0.7969 0.0881 0.8547
H 0.6282 0.7901 0.3005
H 0.9853 0.4476 0.6254
H 0.1510 0.4484 0.9821
H 0.4116 0.5001 0.2227
H 0.1365 0.1040 0.8130
H 0.9921 0.1691 0.5455
H 0.6302 0.7049 0.5007
H 0.8563 0.4074 0.3699
H 0.7044 0.4101 0.6806
H 0.8811 0.2492 0.0292
H 0.1934 0.9458 0.7798
H 0.1571 0.1018 0.4921
H 0.3698 0.2951 0.4993
H 0.8074 0.6868 0.8033
H 0.2956 0.5899 0.3194
H 0.3689 0.3581 0.9099
H 0.8066 0.0542 0.2202
H 0.3615 0.6401 0.9908
H 0.1437 0.5926 0.6301
H 0.2031 0.9119 0.1453
H 0.1926 0.3132 0.1967
H 0.1189 0.7508 0.9708
H 0.8635 0.8960 0.1870
H 0.8490 0.5516 0.0179
H 0.8429 0.8982 0.5079
H 0.5482 0.9884 0.6725
H 0.0110 0.6335 0.1751
H 0.6380 0.4933 0.4383
H 0.1237 0.2626 0.3207
H 0.3614 0.7030 0.8404
H 0.4518 0.0116 0.3275
H 0.6675 0.0948 0.6290
H 0.0079 0.8309 0.4545
H 0.6385 0.3599 0.0092
H 0.3325 0.9052 0.3710
H 0.9890 0.3665 0.8249
H 0.3718 0.2099 0.6995
H 0.8763 0.7374 0.6793
H 0.6386 0.2970 0.1596
H 0.3620 0.5067 0.5617
H 0.0147 0.5524 0.3746
N 0.1630 0.3453 0.5406
N 0.1662 0.2612 0.7460
N 0.8370 0.6547 0.4594
N 0.8402 0.4510 0.1731
N 0.3842 0.4575 0.7541
N 0.8338 0.7388 0.2540
N 0.6158 0.5425 0.2459
N 0.1598 0.5490 0.8269
O 0.8836 0.7728 0.7978
O 0.8891 0.1381 0.9394
O 0.3027 0.4891 0.2172
O 0.1527 0.0346 0.8614
O 0.8473 0.9654 0.1386
O 0.6973 0.5109 0.7828
O 0.1164 0.2272 0.2022
O 0.3473 0.9463 0.2942
O 0.6527 0.0537 0.7058
O 0.1109 0.8619 0.0606
C 0.1065 0.4890 0.6521
C 0.1102 0.4070 0.8534
C 0.6706 0.6832 0.2192
C 0.1135 0.2076 0.5729
C 0.6738 0.5993 0.4192
C 0.3262 0.4007 0.5808
C 0.8865 0.7924 0.4271
C 0.3232 0.5987 0.8614
C 0.6768 0.4013 0.1386
C 0.8935 0.5110 0.3479
C 0.3294 0.3168 0.7808
C 0.8898 0.5930 0.1466
Ni 0.0000 0.0000 0.0000
Cl 0.6889 0.1756 0.4414
Cl 0.3111 0.8244 0.5586

* mass density: 1386 kg/m³
* crystal system: triclinic

Least stable of them? *2*.

*1*
The following is a PBE+U calculation of crystalline CoH7C3NO6 at its relaxed geometry, from Materials Project.

a = 7.3696 Å, b = 7.4596 Å, c = 8.2049 Å
α = 91.23°, β = 90.00°, γ = 119.60°
Fractional positions:
H 0.9981 0.5900 0.9990
H 0.9327 0.8487 0.7186
H 0.9987 0.4092 0.4986
H 0.5895 0.5908 0.5014
H 0.9742 0.0798 0.6551
H 0.9187 0.0276 0.8454
H 0.0840 0.1513 0.2814
H 0.5883 0.0000 0.0000
H 0.4100 0.0000 0.5000
H 0.4081 0.4100 0.0010
H 0.8944 0.9202 0.3449
H 0.0856 0.9326 0.2190
H 0.8911 0.9724 0.1546
H 0.1530 0.0674 0.7810
C 0.4427 0.4412 0.4985
C 0.5575 0.5572 0.0007
C 0.4382 0.0000 0.0000
C 0.0015 0.5588 0.5015
C 0.5598 0.0000 0.5000
C 0.0003 0.4428 0.9993
O 0.8916 0.5859 0.6087
O 0.5849 0.8863 0.3955
O 0.6986 0.1137 0.6045
O 0.8872 0.3040 0.8950
O 0.4121 0.1072 0.8938
O 0.3057 0.4141 0.3913
O 0.4214 0.3086 0.6017
O 0.5833 0.6960 0.1050
O 0.6927 0.5781 0.8962
O 0.1128 0.6914 0.3983
O 0.3048 0.8928 0.1062
O 0.1146 0.4219 0.1038
Co 0.6673 0.3330 0.7497
Co 0.3343 0.6670 0.2503
N 0.9915 0.9958 0.2500
N 0.9958 0.0042 0.7500

* mass density: 1796 kg/m³
* crystal system: monoclinic

*2*
The following is a PBE+U calculation of crystalline CoH7C3NO6 at its relaxed geometry, from Materials Project.

a = 12.7256 Å, b = 12.7256 Å, c = 8.3319 Å
α = 90.00°, β = 90.00°, γ = 120.00°
Fractional positions:
O 0.5716 0.8474 0.2344
O 0.8474 0.2758 0.7344
O 0.5092 0.9082 0.9407
O 0.2421 0.1720 0.2325
O 0.1620 0.4268 0.4414
O 0.6010 0.5092 0.4407
O 0.7352 0.1620 0.9414
O 0.9421 0.1783 0.4416
O 0.0701 0.2421 0.7325
O 0.7579 0.8280 0.7325
O 0.2362 0.0579 0.4416
O 0.1783 0.2362 0.9416
O 0.3990 0.4908 0.9407
O 0.5732 0.7352 0.4414
O 0.9028 0.5082 0.2326
O 0.0972 0.4918 0.7326
O 0.1720 0.9299 0.7325
O 0.9082 0.3990 0.4407
O 0.8280 0.0701 0.2325
O 0.3946 0.9028 0.7326
O 0.9299 0.7579 0.2325
O 0.4918 0.3946 0.2326
O 0.0579 0.8217 0.9416
O 0.8380 0.5732 0.9414
O 0.8217 0.7638 0.4416
O 0.4908 0.0918 0.4407
O 0.6054 0.0972 0.2326
O 0.1526 0.7242 0.2344
O 0.4268 0.2648 0.9414
O 0.7638 0.9421 0.9416
O 0.5082 0.6054 0.7326
O 0.7242 0.5716 0.7344
O 0.4284 0.1526 0.7344
O 0.0918 0.6010 0.9407
O 0.2758 0.4284 0.2344
O 0.2648 0.8380 0.4414
C 0.1893 0.3738 0.3324
C 0.4737 0.5152 0.8254
C 0.1426 0.2915 0.8501
C 0.8511 0.1426 0.3501
C 0.6262 0.8155 0.3324
C 0.4848 0.9585 0.8254
C 0.0415 0.5263 0.8254
C 0.8574 0.7085 0.3501
C 0.7085 0.8511 0.8501
C 0.9585 0.4737 0.3254
C 0.1845 0.8107 0.3324
C 0.3738 0.1845 0.8324
C 0.1489 0.8574 0.8501
C 0.5263 0.4848 0.3254
C 0.8107 0.6262 0.8324
C 0.8155 0.1893 0.8324
C 0.5152 0.0415 0.3254
C 0.2915 0.1489 0.3501
H 0.3333 0.6667 0.1587
H 0.1329 0.2742 0.3256
H 0.6402 0.3952 0.4969
H 0.9432 0.4891 0.8074
H 0.8671 0.7258 0.8256
H 0.7550 0.3598 0.4969
H 0.1761 0.3889 0.8717
H 0.7288 0.4215 0.9965
H 0.3074 0.7288 0.4965
H 0.6048 0.2450 0.4969
H 0.4215 0.6926 0.4965
H 0.0568 0.5109 0.3074
H 0.7258 0.8587 0.3256
H 0.3333 0.6667 0.6582
H 0.8587 0.1329 0.8256
H 0.0000 0.0000 0.0073
H 0.3889 0.2127 0.3717
H 0.2127 0.8239 0.8717
H 0.6667 0.3333 0.1582
H 0.5109 0.4542 0.8074
H 0.6926 0.2712 0.9965
H 0.2742 0.1413 0.8256
H 0.8239 0.6111 0.3717
H 0.2450 0.6402 0.9969
H 0.0000 0.0000 0.5073
H 0.3952 0.7550 0.9969
H 0.1413 0.8671 0.3256
H 0.3598 0.6048 0.9969
H 0.9390 0.0274 0.1697
H 0.7873 0.1761 0.3717
H 0.4542 0.9432 0.3074
H 0.9726 0.9115 0.1697
H 0.6667 0.3333 0.6587
H 0.5458 0.0568 0.8074
H 0.4891 0.5458 0.3074
H 0.9115 0.9390 0.6697
H 0.0610 0.9726 0.6697
H 0.0274 0.0885 0.6697
H 0.2712 0.5785 0.4965
H 0.0885 0.0610 0.1697
H 0.6111 0.7873 0.8717
H 0.5785 0.3074 0.9965
Co 0.6644 0.6682 0.5869
Co 0.6682 0.0038 0.0869
Co 0.3318 0.9962 0.5869
Co 0.3356 0.3318 0.0869
Co 0.9962 0.6644 0.0869
Co 0.0038 0.3356 0.5869
N 0.6667 0.3333 0.5359
N 0.0000 0.0000 0.6300
N 0.3333 0.6667 0.5355
N 0.6667 0.3333 0.0355
N 0.3333 0.6667 0.0359
N 0.0000 0.0000 0.1300

* mass density: 1808 kg/m³
* crystal system: hexagonal

Least stable of them? *1*.